Computed, not measured: a geometry-optimized Li4CrNi3P4O16 structure at the GGA+U level of DFT.

Output
total moment = 10.0 μB per cell
ΔE_f = -2.410 eV/atom
symmetry = Pm
uncorrected energy = -182.31 eV for the cell shown

Structure (extended XYZ):
```
28
Lattice="-2.082 -3.779 -4.225 1.857 -3.667 2.366 -8.635 -1.104 5.242" Properties=species:S:1:pos:R:3 pbc="T T T"
Ni -2.005 -4.044 0.289
Ni -2.348 -0.373 1.490
Ni -5.817 -2.620 5.210
Li -4.942 -5.226 0.603
Li -1.573 -2.868 -3.153
Li -3.885 -3.307 2.748
Li -0.523 -0.961 -1.021
P -8.092 -4.422 3.627
P -3.419 -4.012 5.273
P -4.385 -2.638 0.204
P 0.274 -2.250 1.878
O -3.096 -5.111 1.782
O -5.970 -6.586 1.925
O -4.724 -1.539 3.704
O -4.720 -4.316 4.463
O -6.908 -3.632 6.652
O -0.918 -3.055 -1.131
O -8.189 -4.648 2.080
O -3.092 -2.298 1.035
O -3.946 -3.849 -0.699
O -2.396 -3.433 4.251
O -0.513 -3.611 1.721
O -7.322 -3.074 3.839
O -7.425 -5.606 4.357
O -0.386 -1.069 1.146
O -5.403 -3.220 1.227
O -1.745 -5.847 -0.779
Cr -5.470 -6.197 3.923
```

Computed, not measured: a geometry-optimized Li6Cr3NiP6O24 structure at the GGA+U level of DFT.

Output
total moment = 10.0 μB per cell
ΔE_f = -2.541 eV/atom
symmetry = P1
uncorrected energy = -274.04 eV for the cell shown

Structure (extended XYZ):
```
40
Lattice="-2.486 -7.815 -2.140 5.975 -5.952 -1.021 0.610 -6.111 5.882" Properties=species:S:1:pos:R:3 pbc="T T T"
P 0.888 -8.870 -1.790
P -0.552 -12.262 0.847
P 4.634 -7.616 1.786
P 4.573 -11.518 -0.664
P 3.178 -11.044 4.555
P -0.345 -8.410 3.409
O 3.176 -7.992 1.341
O -1.424 -12.421 2.128
O 2.385 -9.839 5.018
O -0.970 -11.075 -0.043
O 1.221 -8.695 -0.258
O 2.227 -14.048 0.299
O 5.518 -7.479 0.514
O 2.163 -6.194 -0.536
O 3.955 -11.885 -2.039
O 3.392 -11.489 0.369
O 1.786 -13.750 3.239
O 0.724 -8.419 2.248
O 5.070 -8.770 2.689
O 0.884 -11.875 1.340
O 0.322 -7.972 4.729
O 1.641 -10.131 -2.190
O -0.853 -9.854 3.409
O 1.851 -5.766 2.232
O -0.671 -9.008 -1.794
O 4.715 -10.892 4.704
O -0.396 -6.726 0.628
O -0.736 -4.210 0.443
O 2.891 -11.202 3.020
O 4.537 -13.312 2.114
Li 4.957 -10.800 2.553
Li 0.145 -11.633 3.358
Li 2.158 -9.857 1.356
Li 1.986 -11.883 -1.239
Li -0.789 -8.918 0.312
Li 0.577 -6.162 5.752
Ni 3.492 -16.981 2.311
Cr 1.491 -7.151 0.949
Cr 0.600 -2.782 0.373
Cr 2.650 -12.795 1.762
```

Computed, not measured: a geometry-optimized Li4CrNi5P6O24 structure at the GGA+U level of DFT.

Output
total moment = 12.0 μB per cell
ΔE_f = -2.268 eV/atom
symmetry = P1
uncorrected energy = -256.96 eV for the cell shown

Structure (extended XYZ):
```
40
Lattice="-6.063 -5.628 -0.785 2.267 -8.044 0.702 -2.329 -3.990 7.008" Properties=species:S:1:pos:R:3 pbc="T T T"
O -1.003 -6.343 0.864
O -2.790 -2.964 0.990
O -2.674 -10.868 2.901
O -7.154 -8.958 4.587
O -3.791 -5.138 1.828
O -5.576 -6.755 5.291
O -6.330 -8.446 2.159
O -3.572 -6.828 3.948
O 0.337 -9.056 4.831
O -5.126 -11.228 6.094
O 1.134 -8.665 2.410
O -2.886 -9.820 5.359
O -4.956 -9.733 3.715
O -3.448 -5.594 6.185
O -2.708 -12.047 0.711
O -5.056 -7.342 -0.017
O -5.024 -12.404 3.108
O -1.039 -10.276 6.950
O -2.470 -8.102 7.073
O -2.422 -12.590 5.051
O -1.151 -5.093 3.645
O -1.176 -7.944 3.249
O -3.269 -7.859 1.590
O -3.612 -9.537 -0.137
Li -5.278 -9.184 5.673
Li -4.345 -11.048 1.669
Li -5.033 -6.802 2.013
Li -1.195 -10.934 4.903
Cr -5.242 -15.088 5.916
Ni -3.016 -8.809 3.461
Ni -2.196 -6.295 2.465
Ni -2.375 -4.061 6.990
Ni -3.950 -11.423 4.491
Ni -0.870 -2.541 1.016
P 0.310 -8.099 3.616
P -4.323 -5.902 4.956
P -6.445 -9.496 3.255
P -2.485 -9.599 6.865
P -1.773 -11.780 1.984
P -3.647 -8.013 0.083
```

Computed, not measured: a geometry-optimized Li4Cr2Ni3SnP6O24 structure at the GGA+U level of DFT.

Output
total moment = 14.0 μB per cell
ΔE_f = -2.351 eV/atom
symmetry = P1
uncorrected energy = -265.47 eV for the cell shown

Structure (extended XYZ):
```
40
Lattice="8.420 0.000 0.000 4.006 7.714 0.000 3.998 2.560 7.294" Properties=species:S:1:pos:R:3 pbc="T T T"
O 6.934 5.195 1.716
O 9.394 5.183 5.612
O 8.054 3.928 7.210
O 7.123 8.564 2.900
O 4.199 4.798 2.362
O 5.155 2.141 3.818
O 6.260 4.866 4.348
O 7.522 9.025 5.452
O 12.323 8.861 7.255
O 6.109 2.664 0.786
O 10.429 3.133 6.760
O 12.320 5.647 5.058
O 10.584 3.523 1.413
O 8.720 7.285 4.206
O 5.957 7.198 0.554
O 7.680 2.957 3.151
O 9.360 1.659 4.423
O 10.183 7.665 6.520
O 8.939 1.262 1.854
O 11.237 5.869 0.635
O 5.322 4.324 6.614
O 10.195 5.419 2.941
O 6.034 6.747 5.961
O 11.348 8.097 3.518
P 8.160 8.727 4.072
P 8.324 1.518 3.340
P 6.921 5.898 0.304
P 5.334 5.482 5.491
P 11.173 4.922 1.854
P 9.540 4.380 6.927
Li 8.138 7.184 6.202
Li 5.485 6.351 2.651
Li 8.018 3.173 1.132
Li 6.507 2.968 5.153
Ni 14.030 8.779 6.215
Ni 5.778 3.587 2.566
Ni 10.613 6.645 4.699
Sn 2.460 1.534 1.119
Cr 8.279 5.138 3.651
Cr 16.321 10.250 7.285
```

Computed, not measured: a geometry-optimized LiCr3NiS6O24 structure at the GGA+U level of DFT.

Output
total moment = 11.0 μB per cell
ΔE_f = -1.983 eV/atom
symmetry = P1
uncorrected energy = -224.59 eV for the cell shown

Structure (extended XYZ):
```
35
Lattice="-6.776 4.187 -2.277 -7.120 -4.069 -1.280 -6.452 0.956 5.995" Properties=species:S:1:pos:R:3 pbc="T T T"
O -8.464 1.302 -0.547
O -8.923 3.466 1.970
O -3.288 0.904 -0.356
O -6.126 1.013 -1.101
O -9.470 -1.274 -0.460
O -6.810 2.911 0.169
O -17.019 0.129 2.808
O -9.227 -3.529 0.389
O -6.942 0.675 1.184
O -15.503 2.606 2.861
O -11.121 0.832 -1.167
O -10.843 2.349 2.857
O -9.228 0.188 3.580
O -11.103 4.606 2.047
O -11.652 2.960 -0.245
O -6.967 -0.686 3.778
O -13.384 1.642 -1.362
O -4.886 -1.542 -0.407
O -13.420 0.450 1.232
O -11.896 -0.152 2.941
O -14.215 0.115 3.529
O -13.571 -1.793 2.252
O -11.388 -2.360 0.460
O -8.752 -1.994 2.723
S -10.151 -2.582 -0.291
S -8.411 -1.024 3.806
S -13.295 -0.393 2.500
S -10.182 3.708 2.731
S -7.076 1.463 -0.043
S -11.957 2.038 -1.375
Cr -10.945 0.948 4.363
Cr -9.389 0.131 -1.875
Cr -14.739 0.520 -0.334
Li -12.256 2.082 1.467
Ni -5.634 0.595 2.709
```

Computed, not measured: a geometry-optimized Li4Cr3Ni2Sb3O16 structure at the GGA+U level of DFT.

Output
total moment = 13.0 μB per cell
ΔE_f = -2.031 eV/atom
symmetry = Cm
uncorrected energy = -174.51 eV for the cell shown

Structure (extended XYZ):
```
28
Lattice="3.053 5.261 0.000 -3.053 5.261 0.000 0.000 0.122 9.792" Properties=species:S:1:pos:R:3 pbc="T T T"
O -1.385 2.834 8.128
O 1.355 7.842 3.295
O 0.000 3.584 5.903
O 0.000 10.615 8.033
O 0.000 7.039 1.025
O 0.000 10.530 3.052
O -1.607 6.127 5.936
O 1.621 4.412 0.992
O 0.000 8.961 5.906
O -1.621 4.412 0.992
O 0.000 1.696 1.036
O 0.000 5.213 8.153
O 0.000 5.470 3.254
O 1.607 6.127 5.936
O 1.385 2.834 8.128
O -1.355 7.842 3.295
Sb -1.508 4.455 7.009
Sb 0.000 8.752 2.102
Sb 1.508 4.455 7.009
Li 0.000 7.165 8.829
Li 0.000 0.198 4.802
Li 0.000 3.574 3.628
Li 0.000 0.115 0.065
Cr 0.000 1.857 7.016
Cr -1.505 6.165 2.105
Cr 1.505 6.165 2.105
Ni 0.000 6.953 4.633
Ni 0.000 3.449 0.106
```

Computed, not measured: a geometry-optimized Li4Cr3Ni3Sb2O16 structure at the GGA+U level of DFT.

Output
total moment = 12.0 μB per cell
ΔE_f = -1.946 eV/atom
symmetry = P1
uncorrected energy = -171.22 eV for the cell shown

Structure (extended XYZ):
```
28
Lattice="-5.563 -1.216 1.590 2.923 -3.731 -3.558 3.287 -4.628 7.772" Properties=species:S:1:pos:R:3 pbc="T T T"
O -1.486 -3.973 2.841
O -2.283 -1.528 1.906
O 1.613 -5.180 7.012
O 0.042 -5.758 1.274
O 3.513 -5.039 3.267
O 2.318 -7.213 2.445
O -3.427 -3.739 0.958
O -0.997 -3.214 0.254
O 0.989 -5.559 4.004
O 1.396 -3.270 2.265
O 5.163 -6.903 1.912
O -1.954 -5.809 -0.358
O 2.850 -5.135 0.463
O 0.269 -7.667 5.964
O -1.202 -5.819 7.804
O 3.085 -7.113 5.009
Sb 1.763 -5.224 2.140
Sb -2.714 -2.090 -0.019
Cr 4.055 -6.864 3.424
Cr -1.746 -4.739 1.163
Cr 1.337 -7.538 4.207
Ni 2.629 -5.127 5.189
Ni -0.454 -2.381 2.180
Ni -3.175 -2.986 2.951
Li 0.025 -0.069 0.089
Li 0.436 -3.394 -1.094
Li 4.576 -6.073 0.390
Li -0.743 -4.815 4.518
```

Computed, not measured: a geometry-optimized Li4Cr3Ni2Sn3O16 structure at the GGA+U level of DFT.

Output
total moment = 10.0 μB per cell
ΔE_f = -1.980 eV/atom
symmetry = Cm
uncorrected energy = -172.73 eV for the cell shown

Structure (extended XYZ):
```
28
Lattice="3.026 5.244 0.000 -3.026 5.244 0.000 0.000 0.153 9.721" Properties=species:S:1:pos:R:3 pbc="T T T"
Cr 0.000 8.768 2.067
Cr 1.493 4.491 6.937
Cr -1.493 4.491 6.937
O -1.382 2.937 8.115
O 0.000 10.461 3.098
O 1.619 4.335 1.042
O 1.304 7.912 3.253
O 1.553 6.093 5.860
O 0.000 8.905 6.001
O -1.619 4.335 1.042
O 0.000 5.479 3.334
O 0.000 5.160 8.009
O 0.000 1.659 0.902
O 0.000 10.560 7.902
O 0.000 3.669 5.857
O 0.000 7.080 0.944
O -1.553 6.093 5.860
O 1.382 2.937 8.115
O -1.304 7.912 3.253
Sn -1.493 6.184 2.098
Sn 1.493 6.184 2.098
Sn 0.000 1.908 6.952
Li 0.000 7.187 8.630
Li 0.000 10.452 4.875
Li 0.000 3.590 3.840
Li 0.000 10.523 9.671
Ni 0.000 7.081 4.760
Ni 0.000 3.640 9.581
```

Computed, not measured: a geometry-optimized Li4Cr2Ni3Te3O16 structure at the GGA+U level of DFT.

Output
total moment = 12.0 μB per cell
ΔE_f = -1.741 eV/atom
symmetry = P1
uncorrected energy = -159.01 eV for the cell shown

Structure (extended XYZ):
```
28
Lattice="-6.019 -1.039 0.150 2.977 0.865 5.280 -1.433 9.516 -0.647" Properties=species:S:1:pos:R:3 pbc="T T T"
O -4.200 8.274 3.121
O -2.377 6.202 2.491
O -1.410 8.801 3.137
O 0.902 4.337 4.190
O -3.903 6.332 4.880
O -3.661 3.333 1.580
O -0.456 3.969 1.492
O -6.186 0.831 0.083
O 0.377 6.593 2.400
O -1.061 6.609 4.731
O -2.064 3.846 4.399
O -1.918 1.363 2.497
O -2.785 8.422 0.284
O -5.756 7.830 0.245
O -3.324 0.994 0.195
O -4.607 0.888 2.465
Te -2.621 7.511 3.975
Te -1.107 7.619 1.309
Te -4.884 2.026 0.852
Ni 0.338 8.001 3.921
Ni -3.413 2.427 3.443
Ni -1.924 2.531 0.780
Li 2.733 0.966 5.147
Li -0.271 1.432 3.469
Li -3.972 5.232 1.493
Li 2.148 5.533 4.850
Cr -2.914 -0.122 1.828
Cr -0.626 5.038 3.316
```

Computed, not measured: a geometry-optimized Li4Ti3Cr3Ni2O16 structure at the GGA+U level of DFT.

Output
total moment = 10.0 μB per cell
ΔE_f = -2.452 eV/atom
symmetry = Cm
uncorrected energy = -197.60 eV for the cell shown

Structure (extended XYZ):
```
28
Lattice="-0.050 -5.533 -1.939 2.351 -1.286 -5.215 8.541 -1.564 4.232" Properties=species:S:1:pos:R:3 pbc="T T T"
O 1.647 -2.460 -1.982
O 8.252 -4.831 -0.215
O 2.902 -3.032 -4.583
O 6.682 -5.503 -2.239
O 8.259 -7.294 -1.031
O 1.636 -5.270 -2.856
O 9.237 -8.075 -3.700
O 2.883 -3.207 0.288
O 2.829 -5.901 -5.578
O 5.532 -4.937 0.377
O 3.936 -3.801 -2.043
O 9.340 -5.382 -2.506
O 5.602 -2.055 1.442
O 4.982 -7.307 -5.822
O 6.773 -2.742 -1.315
O 3.946 -1.327 -1.161
Cr 8.006 -4.026 -1.954
Cr 6.821 -6.123 -0.337
Cr 2.188 -1.470 -0.302
Li 8.524 -1.602 4.171
Li 8.390 -3.655 1.410
Li 4.267 -0.811 2.075
Li 4.903 -5.146 -3.078
Ti 8.056 -6.755 -2.854
Ti 3.393 -2.098 -2.838
Ti 2.206 -4.196 -1.220
Ni 9.985 -6.097 -0.587
Ni 4.952 -3.045 -0.319
```

Computed, not measured: a geometry-optimized Li4V2Cr3Ni3O16 structure at the GGA+U level of DFT.

Output
total moment = 0.5 μB per cell
ΔE_f = -1.841 eV/atom
symmetry = Cm
uncorrected energy = -174.81 eV for the cell shown

Structure (extended XYZ):
```
28
Lattice="2.934 5.089 0.000 -2.934 5.089 0.000 0.000 0.038 9.446" Properties=species:S:1:pos:R:3 pbc="T T T"
Li 0.000 0.040 0.119
Li 0.000 6.741 0.962
Li 0.000 3.441 5.672
Li 0.000 10.195 4.765
O 0.000 3.243 3.737
O 0.000 0.065 1.940
O 1.258 2.562 1.396
O 0.000 8.405 3.953
O -1.397 6.010 3.880
O 1.412 4.273 8.587
O -1.258 2.562 1.396
O 1.306 7.509 6.211
O 1.397 6.010 3.880
O -1.306 7.509 6.211
O 0.000 6.673 8.456
O 0.000 4.823 1.369
O -1.412 4.273 8.587
O 0.000 0.094 6.600
O 0.000 5.343 6.208
O 0.000 1.794 8.513
Ni 0.000 8.479 7.479
Ni -1.428 4.188 2.735
Ni 1.428 4.188 2.735
V 0.000 3.537 0.065
V 0.000 6.783 4.699
Cr 1.439 6.081 7.370
Cr -1.439 6.081 7.370
Cr 0.000 1.813 2.554
```

Repeat the first record exactly.
Computed, not measured: a geometry-optimized Li4CrNi3P4O16 structure at the GGA+U level of DFT.

Output
total moment = 10.0 μB per cell
ΔE_f = -2.410 eV/atom
symmetry = Pm
uncorrected energy = -182.31 eV for the cell shown

Structure (extended XYZ):
```
28
Lattice="-2.082 -3.779 -4.225 1.857 -3.667 2.366 -8.635 -1.104 5.242" Properties=species:S:1:pos:R:3 pbc="T T T"
Ni -2.005 -4.044 0.289
Ni -2.348 -0.373 1.490
Ni -5.817 -2.620 5.210
Li -4.942 -5.226 0.603
Li -1.573 -2.868 -3.153
Li -3.885 -3.307 2.748
Li -0.523 -0.961 -1.021
P -8.092 -4.422 3.627
P -3.419 -4.012 5.273
P -4.385 -2.638 0.204
P 0.274 -2.250 1.878
O -3.096 -5.111 1.782
O -5.970 -6.586 1.925
O -4.724 -1.539 3.704
O -4.720 -4.316 4.463
O -6.908 -3.632 6.652
O -0.918 -3.055 -1.131
O -8.189 -4.648 2.080
O -3.092 -2.298 1.035
O -3.946 -3.849 -0.699
O -2.396 -3.433 4.251
O -0.513 -3.611 1.721
O -7.322 -3.074 3.839
O -7.425 -5.606 4.357
O -0.386 -1.069 1.146
O -5.403 -3.220 1.227
O -1.745 -5.847 -0.779
Cr -5.470 -6.197 3.923
```